[1]
Density functional theory data (r²SCAN) for crystalline YbSmHg2 at its relaxed geometry.

## Properties
E_form	-0.561	eV/atom
total magnetic moment	0.000	μB/atom

POSCAR file:
```
YbSmHg2
1.0
3.318 2.177 3.419
-1.837 2.286 4.340
0.787 -2.235 4.672
Hg Yb Sm
2 1 1
Cartesian
0.567 0.557 3.108 Hg
1.701 1.672 9.323 Hg
0.000 0.000 0.000 Yb
1.134 1.114 6.215 Sm
```

[2]
Density functional theory data (r²SCAN) for crystalline CsSmO2 at its relaxed geometry.

## Properties
E_form	-2.826	eV/atom
total magnetic moment	0.000	μB/atom

POSCAR file:
```
CsSmO2
1.0
3.626 0.000 0.000
-1.813 3.141 0.000
0.000 0.000 13.749
O Sm Cs
4 2 2
Cartesian
0.000 2.094 5.715 O
0.000 2.094 1.160 O
1.813 1.047 12.590 O
1.813 1.047 8.034 O
0.000 0.000 6.875 Sm
0.000 0.000 0.000 Sm
1.813 1.047 3.437 Cs
0.000 2.094 10.312 Cs
```

[3]
Density functional theory data (r²SCAN) for crystalline SrAg at its relaxed geometry.

## Properties
E_form	-0.272	eV/atom
total magnetic moment	0.000	μB/atom

POSCAR file:
```
SrAg
1.0
-4.155 -2.162 -0.627
2.757 -5.630 1.146
-3.357 1.696 16.410
Sr Ag
8 8
Cartesian
-0.753 -3.881 9.480 Sr
-3.809 -1.315 3.069 Sr
-5.656 -1.416 15.665 Sr
0.902 -4.680 1.264 Sr
-4.166 -3.166 11.824 Sr
-0.588 -2.930 5.106 Sr
-4.001 -2.216 7.450 Sr
-0.945 -4.781 13.861 Sr
-5.272 -0.534 10.076 Ag
-2.340 -5.230 6.836 Ag
-0.686 -1.816 1.909 Ag
-4.068 -4.281 15.020 Ag
-2.217 -4.193 2.443 Ag
0.518 -5.563 6.854 Ag
-2.537 -1.904 14.487 Ag
-2.415 -0.867 10.094 Ag
```

[4]
Density functional theory data (r²SCAN) for crystalline HfV2H4 at its relaxed geometry.

## Properties
E_form	-0.350	eV/atom
total magnetic moment	0.000	μB/atom

POSCAR file:
```
HfV2H4
1.0
-4.648 2.853 0.013
1.371 -2.876 4.345
4.718 2.594 0.231
H V Hf
8 4 2
Cartesian
0.198 4.401 0.727 H
1.243 -1.830 3.862 H
-0.639 1.631 3.407 H
3.016 0.526 3.949 H
-1.575 2.044 0.640 H
2.080 0.939 1.182 H
1.923 2.653 2.361 H
-0.482 -0.082 2.228 H
0.720 1.285 2.295 V
1.406 -0.153 4.467 V
0.686 -1.438 2.172 V
3.045 -0.141 2.288 V
-1.697 -0.053 3.841 Hf
3.138 2.623 0.749 Hf
```

[5]
Density functional theory data (r²SCAN) for crystalline Hf2Al3Cu at its relaxed geometry.

## Properties
E_form	-0.504	eV/atom
total magnetic moment	0.000	μB/atom

POSCAR file:
```
Hf2Al3Cu
1.0
4.401 -2.617 0.002
4.401 2.617 0.002
2.842 0.000 4.258
Hf Cu Al
2 1 3
Cartesian
1.454 0.000 0.532 Hf
10.189 0.000 3.730 Hf
5.822 0.000 2.131 Cu
3.622 1.308 2.130 Al
4.401 0.000 0.002 Al
3.622 -1.308 2.130 Al
```

[6]
Density functional theory data (r²SCAN) for crystalline SrPb at its relaxed geometry.

## Properties
E_form	-0.701	eV/atom
total magnetic moment	0.000	μB/atom

POSCAR file:
```
SrPb
1.0
4.683 0.000 0.000
0.000 4.728 -1.940
0.000 -0.042 6.630
Pb Sr
2 2
Cartesian
3.512 1.933 4.711 Pb
1.171 2.754 -0.020 Pb
1.171 4.069 3.185 Sr
3.512 0.618 1.505 Sr
```

[7]
Density functional theory data (r²SCAN) for crystalline Ba5Sb3 at its relaxed geometry.

## Properties
E_form	-1.177	eV/atom
total magnetic moment	0.125	μB/atom

POSCAR file:
```
Ba5Sb3
1.0
-2.584 0.336 9.794
-3.287 -7.595 -5.850
6.428 -4.199 1.840
Ba Sb
10 6
Cartesian
-2.818 -2.308 4.579 Ba
-3.053 -4.951 -0.635 Ba
-0.838 -6.699 -3.891 Ba
0.455 -8.548 4.314 Ba
-0.315 -0.800 7.744 Ba
4.159 -3.063 3.890 Ba
3.979 -5.096 -0.119 Ba
0.161 -7.051 0.285 Ba
0.396 -4.407 5.500 Ba
0.103 -2.910 1.471 Ba
3.245 -2.944 7.353 Sb
-1.973 -5.477 2.865 Sb
0.599 -0.918 4.281 Sb
2.817 -7.781 -2.188 Sb
0.325 -4.013 -1.822 Sb
2.531 -5.981 2.919 Sb
```

[8]
Density functional theory data (r²SCAN) for crystalline K2CO3 at its relaxed geometry.

## Properties
E_form	-1.903	eV/atom
total magnetic moment	0.000	μB/atom

POSCAR file:
```
K2CO3
1.0
-8.261 0.256 -5.157
1.720 -4.451 -2.977
-2.598 -5.034 3.912
K O C
8 12 4
Cartesian
0.108 -4.368 -1.901 K
-4.860 -3.248 -5.857 K
-5.173 -2.430 -2.545 K
-9.247 -4.861 -2.321 K
-6.447 -5.756 -4.081 K
-2.692 -3.474 -0.141 K
-3.965 -6.799 -1.677 K
-4.278 -5.982 1.635 K
-7.264 -3.292 -4.412 O
-1.973 -5.501 -3.454 O
-7.430 -1.164 -3.699 O
-2.445 -3.362 -2.933 O
-1.709 -8.066 -0.523 O
-5.094 -4.520 -0.460 O
-6.694 -5.867 -1.289 O
-4.044 -4.709 -3.762 O
-7.166 -3.729 -0.768 O
-0.388 -2.109 -0.289 O
-8.751 -7.121 -3.933 O
-1.875 -5.937 0.190 O
-2.817 -4.517 -3.386 C
-7.783 -2.111 -4.514 C
-6.322 -4.713 -0.835 C
-1.356 -7.119 0.292 C
```